Compound: Ba2H14C4O15
Source: Materials Project
Functional: GGA-PBE
Structure: relaxed

Structure (POSCAR):
```
Ba2H14C4O15
1.0
3.926 6.756 0.000
-3.926 6.756 0.000
0.000 5.991 13.828
Ba H C O
4 28 8 30
direct
0.622 0.742 0.219
0.258 0.378 0.281
0.378 0.258 0.781
0.742 0.622 0.719
0.336 0.179 0.071
0.821 0.664 0.429
0.664 0.821 0.929
0.179 0.336 0.571
0.529 0.188 0.076
0.812 0.471 0.424
0.471 0.812 0.924
0.188 0.529 0.576
0.385 0.572 0.414
0.428 0.615 0.086
0.615 0.428 0.586
0.572 0.385 0.914
0.573 0.368 0.404
0.632 0.427 0.096
0.427 0.632 0.596
0.368 0.573 0.904
0.971 0.269 0.201
0.731 0.029 0.299
0.029 0.731 0.799
0.269 0.971 0.701
0.894 0.231 0.313
0.769 0.106 0.187
0.106 0.769 0.687
0.231 0.894 0.813
0.127 0.896 0.196
0.104 0.873 0.304
0.873 0.104 0.804
0.896 0.127 0.696
0.959 0.787 0.977
0.213 0.041 0.523
0.041 0.213 0.023
0.787 0.959 0.477
0.098 0.726 0.047
0.274 0.902 0.453
0.902 0.274 0.953
0.726 0.098 0.547
0.789 0.782 0.014
0.218 0.211 0.486
0.211 0.218 0.986
0.782 0.789 0.514
0.029 0.833 0.886
0.167 0.971 0.614
0.971 0.167 0.114
0.833 0.029 0.386
0.031 0.679 0.136
0.321 0.969 0.364
0.969 0.321 0.864
0.679 0.031 0.636
0.272 0.725 0.008
0.275 0.728 0.492
0.728 0.275 0.992
0.725 0.272 0.508
0.414 0.158 0.118
0.842 0.586 0.382
0.586 0.842 0.882
0.158 0.414 0.618
0.468 0.476 0.369
0.524 0.532 0.131
0.532 0.524 0.631
0.476 0.468 0.869
0.936 0.327 0.257
0.673 0.064 0.243
0.064 0.673 0.743
0.327 0.936 0.757
0.193 0.807 0.250
0.807 0.193 0.750
```

Values from the calculation:
crystal system	monoclinic
E_tot	-0.4403	Ry/atom
magnetization	0.002	μB per cell
formation energy	-1.643	eV/atom